DFT (PBE-GGA) results for crystalline MgAlWS4 at its relaxed geometry.

```
MgAlWS4
1.0
-1.2918 6.8870 2.2024
-0.1018 1.6107 7.1523
5.2377 3.7949 3.4532
Mg Al W S
2 2 2 8
Direct
0.8637 0.8871 0.8856
0.1084 0.1412 0.1421
0.5000 0.4901 0.4901
0.0198 0.4901 0.4901
0.4977 0.5535 0.9510
0.4978 0.9512 0.5533
0.7904 0.7235 0.7237
0.2693 0.2356 0.7258
0.2689 0.7262 0.2359
0.7037 0.2669 0.2668
0.7278 0.2992 0.7452
0.2624 0.7234 0.7237
0.2626 0.2669 0.2668
0.7275 0.7452 0.2998
```

Calculated values
Calculated formation energy (meV per atom): -1155
Theoretical density (g/cm³): 4.5